# Cr3GaP4

An optimized crystal structure of Cr3GaP4 (PBE, the Materials Project).

a = 5.441 Å, b = 5.441 Å, c = 5.441 Å
α = 90.00°, β = 90.00°, γ = 90.00°
Fractional coordinates of all 8 atoms:
Cr  0.000  0.000  0.500
Cr  0.000  0.500  0.000
Cr  0.500  0.000  0.000
Ga  0.500  0.500  0.500
P  0.246  0.246  0.754
P  0.246  0.754  0.246
P  0.754  0.246  0.246
P  0.754  0.754  0.754

The raw total energy comes out at -6.69 eV/atom.

***

# Dy3Mg2MnS8

An optimized crystal structure of Dy3Mg2MnS8 (PBE, the Materials Project).

a = 7.713 Å, b = 7.713 Å, c = 7.699 Å
α = 119.03°, β = 119.03°, γ = 60.83°
Fractional coordinates of all 14 atoms:
Dy  0.000  0.000  0.000
Dy  0.000  0.500  0.500
Dy  0.500  0.000  0.500
Mg  0.375  0.375  0.125
Mg  0.625  0.625  0.875
Mn  0.000  0.000  0.500
S  0.230  0.768  0.732
S  0.232  0.770  0.268
S  0.233  0.233  0.731
S  0.245  0.245  0.254
S  0.755  0.755  0.746
S  0.767  0.767  0.269
S  0.768  0.230  0.732
S  0.770  0.232  0.268

The raw total energy comes out at -5.79 eV/atom.

***

# Bi2Te2O

An optimized crystal structure of Bi2Te2O (PBE, the Materials Project).

a = 4.225 Å, b = 4.225 Å, c = 16.348 Å
α = 90.00°, β = 90.00°, γ = 90.00°
Fractional coordinates of all 10 atoms:
Bi  0.250  0.250  0.072
Bi  0.250  0.250  0.646
Bi  0.750  0.750  0.354
Bi  0.750  0.750  0.928
Te  0.250  0.250  0.409
Te  0.250  0.250  0.824
Te  0.750  0.750  0.176
Te  0.750  0.750  0.591
O  0.250  0.750  0.000
O  0.750  0.250  0.000

The raw total energy comes out at -4.28 eV/atom.

***

# Sr5Mg

An optimized crystal structure of Sr5Mg (PBE, the Materials Project).

a = 15.002 Å, b = 4.407 Å, c = 9.219 Å
α = 90.00°, β = 105.91°, γ = 90.00°
Fractional coordinates of all 12 atoms:
Sr  0.000  0.000  0.000
Sr  0.003  0.000  0.427
Sr  0.148  0.500  0.772
Sr  0.291  0.000  0.136
Sr  0.328  0.000  0.613
Sr  0.500  0.500  0.000
Sr  0.503  0.500  0.427
Sr  0.648  0.000  0.772
Sr  0.791  0.500  0.136
Sr  0.828  0.500  0.613
Mg  0.166  0.500  0.324
Mg  0.666  0.000  0.324

The raw total energy comes out at -1.65 eV/atom. The energy above the lowest structure with this stoichiometry is 0 meV per atom.

***

# YAl6Si30N45O3

An optimized crystal structure of YAl6Si30N45O3 (PBE, the Materials Project).

a = 7.887 Å, b = 7.898 Å, c = 17.126 Å
α = 90.12°, β = 90.14°, γ = 119.80°
Fractional coordinates of all 85 atoms:
Y  0.000  0.000  0.000
Al  0.237  0.838  0.410
Al  0.241  0.843  0.741
Al  0.243  0.847  0.080
Al  0.410  0.929  0.910
Al  0.818  0.572  0.010
Al  0.901  0.763  0.180
Si  0.071  0.507  0.578
Si  0.072  0.505  0.909
Si  0.072  0.510  0.249
Si  0.160  0.420  0.743
Si  0.160  0.429  0.081
Si  0.162  0.416  0.412
Si  0.247  0.159  0.509
Si  0.248  0.165  0.179
Si  0.256  0.163  0.838
Si  0.404  0.238  0.673
Si  0.406  0.239  0.343
Si  0.413  0.244  0.009
Si  0.415  0.934  0.576
Si  0.415  0.935  0.246
Si  0.481  0.584  0.575
Si  0.482  0.584  0.909
Si  0.484  0.587  0.244
Si  0.573  0.756  0.084
Si  0.575  0.760  0.748
Si  0.576  0.761  0.416
Si  0.752  0.185  0.009
Si  0.753  0.186  0.673
Si  0.755  0.185  0.342
Si  0.816  0.584  0.674
Si  0.818  0.583  0.345
Si  0.840  0.105  0.840
Si  0.843  0.105  0.509
Si  0.848  0.114  0.179
Si  0.896  0.749  0.837
Si  0.897  0.759  0.509
N  0.002  0.027  0.197
N  0.003  0.364  0.663
N  0.005  0.356  0.997
N  0.007  0.356  0.331
N  0.010  0.366  0.163
N  0.012  0.352  0.828
N  0.014  0.354  0.497
N  0.267  0.275  0.082
N  0.277  0.281  0.749
N  0.280  0.279  0.419
N  0.304  0.000  0.992
N  0.319  0.662  0.911
N  0.324  0.677  0.578
N  0.325  0.679  0.247
N  0.330  0.997  0.497
N  0.331  0.662  0.410
N  0.331  0.664  0.742
N  0.331  0.670  0.076
N  0.335  0.000  0.326
N  0.336  0.000  0.656
N  0.336  0.006  0.825
N  0.337  0.006  0.166
N  0.370  0.335  0.585
N  0.373  0.332  0.919
N  0.374  0.338  0.254
N  0.635  0.677  0.166
N  0.645  0.681  0.831
N  0.645  0.683  0.499
N  0.649  0.323  0.033
N  0.655  0.340  0.691
N  0.657  0.338  0.361
N  0.674  0.064  0.251
N  0.675  0.061  0.584
N  0.689  0.059  0.921
N  0.719  0.016  0.417
N  0.721  0.015  0.749
N  0.733  0.015  0.082
N  0.931  0.626  0.584
N  0.936  0.624  0.258
N  0.936  0.627  0.912
N  0.966  0.714  0.420
N  0.967  0.719  0.747
N  0.977  0.749  0.079
N  0.995  0.008  0.527
N  0.997  0.006  0.861
O  0.637  0.665  0.663
O  0.637  0.674  0.995
O  0.639  0.667  0.331

The raw total energy comes out at -8.02 eV/atom. The energy above the lowest structure with this stoichiometry is 18 meV per atom.

***

# CsMgGaF6

An optimized crystal structure of CsMgGaF6 (PBE, the Materials Project).

a = 7.364 Å, b = 7.364 Å, c = 7.364 Å
α = 120.24°, β = 119.82°, γ = 89.95°
Fractional coordinates of all 18 atoms:
Cs  0.371  0.121  0.250
Cs  0.629  0.879  0.750
Mg  0.000  0.000  0.500
Mg  0.000  0.500  0.000
Ga  0.000  0.500  0.500
Ga  0.500  0.500  0.000
F  0.068  0.435  0.261
F  0.068  0.807  0.633
F  0.068  0.818  0.250
F  0.316  0.566  0.750
F  0.326  0.193  0.761
F  0.326  0.565  0.133
F  0.674  0.435  0.867
F  0.674  0.807  0.239
F  0.684  0.434  0.250
F  0.932  0.182  0.750
F  0.932  0.193  0.367
F  0.932  0.565  0.739

The raw total energy comes out at -4.91 eV/atom.